TmMn12 PBE optimized geometry; total magnetization = 2.84 μB per formula unit; volume = 159.1 Å³/f.u.; formation energy = -0.015 eV per atom
1.0
-4.1479 4.1479 2.3125
4.1479 -4.1479 2.3125
4.1479 4.1479 -2.3125
Tm Mn
1 12
Direct
0.0000 0.0000 0.0000
0.5000 0.5000 0.5000
0.0000 0.0000 0.5000
0.0000 0.5000 0.0000
0.5000 0.0000 0.0000
0.3616 0.0000 0.3616
0.6384 0.0000 0.6384
0.0000 0.6384 0.6384
0.0000 0.3616 0.3616
0.2739 0.5000 0.7739
0.7261 0.5000 0.2261
0.5000 0.7261 0.2261
0.5000 0.2739 0.7739